The following is a PBE with a Hubbard U calculation of a relaxed structure of NiSO8, from the Materials Project.

Geometry as extended XYZ:
```
40
Lattice="5.657 0.000 0.000 0.000 13.121 0.000 -5.451 0.000 7.353" Properties=species:S:1:pos:R:3 pbc="T T T"
Ni -0.439 1.448 1.685
Ni -3.164 5.112 5.361
Ni 3.370 8.009 1.992
Ni 0.644 11.672 5.668
S -1.588 8.036 4.996
S 1.138 11.645 1.319
S -0.932 1.476 6.034
S 1.793 5.085 2.357
O -1.881 1.099 2.618
O -4.607 5.461 6.294
O -3.765 3.255 5.233
O -1.039 3.305 1.557
O -1.285 7.540 3.600
O -4.010 12.141 7.276
O -2.674 7.208 5.596
O 0.052 12.473 1.920
O -2.048 9.449 4.974
O 0.678 10.232 1.297
O -2.180 1.342 5.251
O 0.546 5.218 1.575
O 1.127 1.754 0.892
O -1.599 4.806 4.568
O 2.114 8.217 0.706
O -0.612 11.464 4.383
O 0.817 1.657 2.970
O -1.909 4.904 6.646
O 1.804 8.314 2.784
O -0.922 11.367 6.461
O -0.341 7.902 5.778
O 2.385 11.779 2.102
O -0.472 2.889 6.056
O 2.253 3.672 2.379
O 0.153 0.648 5.433
O 2.879 5.912 1.757
O 4.216 0.980 0.077
O 1.490 5.581 3.753
O 1.245 9.815 5.796
O 3.970 9.865 2.120
O 4.812 7.659 1.059
O 2.087 12.022 4.735
```

Computed properties:
formation enthalpy at 0 K: -3.05 eV per formula unit
theoretical density: 2.7 g/cm3